# SiNi2P4O14, relaxed, DFT GGA+U
# Total magnetization, μB per formula unit: 4.00
# Calculated density, g/cm3: 3.22
# Total DFT energy (no corrections), eV per cell: -583.3
data_SiNi2P4O14
_symmetry_space_group_name_H-M 'C 1 2/c 1'
_symmetry_Int_Tables_number 15
_symmetry_space_group_name_Hall '-C 2yc'
_cell_length_a 17.0615
_cell_length_b 4.9743
_cell_length_c 12.3402
_cell_angle_alpha 90.00
_cell_angle_beta 103.60
_cell_angle_gamma 90.00
loop_
_atom_site_label
_atom_site_type_symbol
_atom_site_fract_x
_atom_site_fract_y
_atom_site_fract_z
_atom_site_occupancy
Si1 Si 0.0000 0.1593 0.2500 1
Ni1 Ni 0.2475 0.1502 0.6290 1
P1 P 0.1266 0.3677 0.1365 1
P2 P 0.1363 0.1657 0.9161 1
O1 O 0.0456 0.3512 0.1777 1
O2 O 0.0637 0.0317 0.8323 1
O3 O 0.0949 0.2181 0.0185 1
O4 O 0.1441 0.3424 0.6205 1
O5 O 0.1550 0.4272 0.8682 1
O6 O 0.1943 0.1965 0.2071 1
O7 O 0.2046 0.0344 0.4556 1

# NiSnP2O8, relaxed, DFT GGA+U
# Total magnetization, μB per formula unit: 0.00
# Calculated density, g/cm3: 4.14
# Total DFT energy (no corrections), eV per cell: -319.6
data_NiSnP2O8
_symmetry_space_group_name_H-M 'P 1'
_symmetry_Int_Tables_number 1
_symmetry_space_group_name_Hall 'P 1'
_cell_length_a 4.9380
_cell_length_b 11.6527
_cell_length_c 11.6533
_cell_angle_alpha 61.42
_cell_angle_beta 89.70
_cell_angle_gamma 89.69
loop_
_atom_site_label
_atom_site_type_symbol
_atom_site_fract_x
_atom_site_fract_y
_atom_site_fract_z
_atom_site_occupancy
Ni1 Ni 0.0000 0.0000 0.0000 1
Ni2 Ni 0.0000 0.4997 0.4999 1
Ni3 Ni 0.8789 0.4747 0.9741 1
Ni4 Ni 0.8802 0.9744 0.4745 1
Sn1 Sn 0.3919 0.2500 0.2498 1
Sn2 Sn 0.3918 0.7500 0.7498 1
Sn3 Sn 0.4880 0.2246 0.7244 1
Sn4 Sn 0.4879 0.7246 0.2244 1
P1 P 0.0496 0.3171 0.8171 1
P2 P 0.0495 0.8170 0.3171 1
P3 P 0.3419 0.0650 0.5648 1
P4 P 0.3416 0.5650 0.0648 1
P5 P 0.5381 0.4095 0.4093 1
P6 P 0.5379 0.9096 0.9094 1
P7 P 0.8303 0.1574 0.1572 1
P8 P 0.8303 0.6574 0.6570 1
O1 O 0.0996 0.3911 0.8909 1
O2 O 0.0999 0.8909 0.3910 1
O3 O 0.1375 0.6713 0.6711 1
O4 O 0.1375 0.1713 0.1711 1
O5 O 0.1933 0.4277 0.1315 1
O6 O 0.1933 0.6318 0.9274 1
O7 O 0.1935 0.9277 0.6316 1
O8 O 0.1936 0.1317 0.4275 1
O9 O 0.1979 0.1784 0.8791 1
O10 O 0.1979 0.3792 0.6782 1
O11 O 0.1978 0.6782 0.3791 1
O12 O 0.1978 0.8792 0.1782 1
O13 O 0.2353 0.4188 0.4187 1
O14 O 0.2351 0.9190 0.9187 1
O15 O 0.2611 0.1400 0.6397 1
O16 O 0.2610 0.6400 0.1397 1
O17 O 0.6190 0.3345 0.3344 1
O18 O 0.6186 0.8346 0.8345 1
O19 O 0.6444 0.5557 0.0554 1
O20 O 0.6448 0.0556 0.5555 1
O21 O 0.6822 0.0953 0.2960 1
O22 O 0.6819 0.2962 0.0951 1
O23 O 0.6818 0.5953 0.7958 1
O24 O 0.6820 0.7963 0.5950 1
O25 O 0.6864 0.0469 0.8426 1
O26 O 0.6865 0.3428 0.5467 1
O27 O 0.6864 0.5469 0.3426 1
O28 O 0.6863 0.8428 0.0467 1
O29 O 0.7424 0.3033 0.8030 1
O30 O 0.7423 0.8032 0.3031 1
O31 O 0.7799 0.0836 0.0833 1
O32 O 0.7801 0.5836 0.5832 1

# NiSn3P4O16, relaxed, DFT GGA+U
# Total magnetization, μB per formula unit: 2.00
# Calculated density, g/cm3: 4.06
# Total DFT energy (no corrections), eV per cell: -160.0
data_NiSn3P4O16
_symmetry_space_group_name_H-M 'P 1 m 1'
_symmetry_Int_Tables_number 6
_symmetry_space_group_name_Hall 'P -2y'
_cell_length_a 5.0789
_cell_length_b 6.1871
_cell_length_c 10.3361
_cell_angle_alpha 90.00
_cell_angle_beta 90.28
_cell_angle_gamma 90.00
loop_
_atom_site_label
_atom_site_type_symbol
_atom_site_fract_x
_atom_site_fract_y
_atom_site_fract_z
_atom_site_occupancy
Ni1 Ni 0.0000 0.0000 0.0000 1
Sn1 Sn 0.4012 0.0000 0.5118 1
Sn2 Sn 0.4889 0.5000 0.9456 1
Sn3 Sn 0.9008 0.5000 0.4461 1
P1 P 0.0523 0.5000 0.1146 1
P2 P 0.3777 0.5000 0.6458 1
P3 P 0.5232 0.0000 0.8275 1
P4 P 0.8202 0.0000 0.3222 1
O1 O 0.1067 0.0000 0.3756 1
O2 O 0.1265 0.5000 0.2555 1
O3 O 0.1872 0.3049 0.0401 1
O4 O 0.2270 0.0000 0.8412 1
O5 O 0.2526 0.3010 0.5702 1
O6 O 0.2603 0.5000 0.7845 1
O7 O 0.6096 0.0000 0.6825 1
O8 O 0.6548 0.1895 0.3889 1
O9 O 0.6657 0.1970 0.8977 1
O10 O 0.6736 0.5000 0.6477 1
O11 O 0.7480 0.5000 0.0964 1
O12 O 0.8160 0.0000 0.1772 1

Question: What is the calculated density in the first record?
Answer: 3.22 g/cm3